(1)
# CsMg6Al

Crystalline CsMg6Al at its relaxed geometry (PBE, the Materials Project).

Summary:
Mass density: 1.8 g/cm³
E_tot: -1.561 eV/atom
M_tot: 0.004 μB per formula unit
Energy above the lowest structure with this stoichiometry: 0 meV/atom
ΔE_f: 220 meV per atom

Cell: 5.1211 6.0855 17.7794 Å, 90.00 90.00 90.00°
Last column: nearest neighbours and their distance in Å.
Space group Amm2 (No. 38)
Unique sites:
Cs (0.0000, 0.0000, 0.0000) x2  2 Al 3.98, 8 Mg 4.11-4.22
Mg (0.0000, 0.2456, 0.7211) x4  1 Al 2.85, 6 Mg 2.99-3.11
Mg (0.5000, 0.0000, 0.1811) x2  8 Mg 3.05-3.14
Mg (0.5000, 0.0000, 0.6683) x2  8 Mg 3.05-3.35
Mg (0.5000, 0.2485, 0.3360) x4  2 Al 2.99, 6 Mg 3.02-3.35
Al (0.0000, 0.0000, 0.3555) x2  6 Mg 2.85-2.99

=====

(2)
# La4Se7S

Crystalline La4Se7S at its relaxed geometry (PBE, the Materials Project).

Summary:
Mass density: 6.1 g/cm³
E_tot: -5.802 eV/atom
ΔE_f: -1814 meV per atom

Cell: 4.2540 8.5190 8.6031 Å, 89.78 89.99 89.89°
Last column: nearest neighbours and their distance in Å.
Space group P1 (No. 1)
Unique sites:
La (0.0000, 0.0000, 0.0000) x1  9 Se 3.03-3.30
La (0.0522, 0.5002, 0.9941) x1  8 Se 3.01-3.34, 1 S 3.03
La (0.4956, 0.2520, 0.5549) x1  2 S 2.97-3.21, 7 Se 3.06-3.30
La (0.5574, 0.7399, 0.5552) x1  2 S 2.98-3.11, 7 Se 3.05-3.31
Se (0.0187, 0.9984, 0.6412) x1  5 La 3.05-3.26
Se (0.0964, 0.7550, 0.2784) x1  1 Se 2.53
Se (0.4578, 0.9907, 0.2750) x1  1 Se 2.53
Se (0.5193, 0.2482, 0.9105) x1  5 La 3.01-3.21
Se (0.5343, 0.7476, 0.9106) x1  5 La 3.03-3.22
Se (0.5958, 0.4914, 0.2734) x1  1 Se 2.53
Se (0.9583, 0.2555, 0.2787) x1  1 Se 2.53
S (0.0360, 0.4990, 0.6419) x1  5 La 2.97-3.21

=====

(3)
# NdLuMg2

Crystalline NdLuMg2 at its relaxed geometry (PBE, the Materials Project).

Summary:
Mass density: 5.5 g/cm³
E_tot: -3.203 eV/atom
ΔE_f: -80 meV per atom

Cell: 7.6120 7.6120 7.6120 Å, 90.00 90.00 90.00°
Last column: nearest neighbours and their distance in Å.
Space group Fm-3m (No. 225)
Unique sites:
Nd (0.0000, 0.0000, 0.0000) x4  8 Mg 3.30
Lu (0.0000, 0.0000, 0.5000) x4  8 Mg 3.30
Mg (0.2500, 0.2500, 0.2500) x8  4 Nd 3.30, 4 Lu 3.30

=====

(4)
# CsBePO4

Crystalline CsBePO4 at its relaxed geometry (PBE, the Materials Project).

Summary:
Mass density: 3.8 g/cm³
E_tot: -6.741 eV/atom
M_tot: 0.000 μB per formula unit
ΔE_f: -2871 meV per atom

Cell: 8.8505 5.1932 8.9476 Å, 90.00 90.00 90.00°
Last column: nearest neighbours and their distance in Å.
Space group Pnma (No. 62)
Unique sites:
Cs (0.0080, 0.2500, 0.1940) x4  8 O 3.17-3.34, 2 Be 3.55
Be (0.1728, 0.7500, 0.4096) x4  4 O 1.62-1.65
P (0.1822, 0.2500, 0.5840) x4  4 O 1.54-1.55
O (0.0098, 0.2500, 0.6035) x4  1 P 1.54, 1 Be 1.62
O (0.2351, 0.0077, 0.4967) x8  1 P 1.55, 1 Be 1.64
O (0.2412, 0.7500, 0.2384) x4  1 P 1.54, 1 Be 1.65

=====

(5)
# Sr2SmBiO6

Crystalline Sr2SmBiO6 at its relaxed geometry (PBE, the Materials Project).

Summary:
Mass density: 6.5 g/cm³
E_tot: -6.528 eV/atom
M_tot: 0.000 μB per formula unit
ΔE_f: -2772 meV per atom

Cell: 8.6224 8.6224 8.6224 Å, 90.00 90.00 90.00°
Last column: nearest neighbours and their distance in Å.
Space group Pn-3 (No. 201, origin choice 2)
Unique sites:
Sr (0.2500, 0.2500, 0.2500) x2  12 O 3.03
Sr (0.2500, 0.2500, 0.7500) x6  4 O 2.54
Sm (0.0000, 0.0000, 0.0000) x4  6 O 2.30
Bi (0.0000, 0.0000, 0.5000) x4  6 O 2.14
O (0.0366, 0.5470, 0.7597) x24  1 Bi 2.14, 1 Sm 2.30

=====

(6)
# Mg3Ga3N5

Crystalline Mg3Ga3N5 at its relaxed geometry (PBE, the Materials Project).

Summary:
Mass density: 4.1 g/cm³
E_tot: -5.493 eV/atom
M_tot: 0.000 μB per formula unit
ΔE_f: -605 meV per atom

Cell: 5.6736 6.7343 8.2664 Å, 108.53 104.51 94.84°
Last column: nearest neighbours and their distance in Å.
Space group P-1 (No. 2)
Unique sites:
Mg (0.0878, 0.0150, 0.2469) x2  3 N 2.05-2.06
Mg (0.2209, 0.3852, 0.9490) x2  5 N 2.15-2.38
Mg (0.3544, 0.9223, 0.6112) x2  4 N 2.10-2.20
Ga (0.1930, 0.4223, 0.5781) x2  4 N 1.93-1.98
Ga (0.3581, 0.6452, 0.2971) x2  4 N 1.90-2.09
Ga (0.3696, 0.8118, 0.9685) x2  4 N 1.96-2.05
N (0.1565, 0.6160, 0.4432) x2  3 Ga 1.90-1.96, 1 Mg 2.11
N (0.1667, 0.7291, 0.1044) x2  2 Ga 1.96, 2 Mg 2.06-2.15
N (0.2889, 0.0282, 0.8607) x2  2 Ga 1.97-2.05, 2 Mg 2.05-2.10
N (0.3353, 0.1638, 0.4945) x2  2 Ga 1.98-2.09, 3 Mg 2.05-2.20
N (0.4305, 0.5383, 0.8213) x2  3 Ga 1.97-2.00, 1 Mg 2.17

=====

(7)
# Si

Crystalline Si at its relaxed geometry (PBE, the Materials Project).

Summary:
Mass density: 2.4 g/cm³
E_tot: -5.108 eV/atom
M_tot: 0.000 μB per formula unit
Energy above the lowest structure with this stoichiometry: 317 meV/atom
ΔE_f: 317 meV per atom

Cell: 12.4089 12.6104 12.6814 Å, 79.42 81.04 82.23°
Last column: nearest neighbours and their distance in Å.
Space group P1 (No. 1)
Unique sites:
Si (0.0000, 0.0000, 0.0000) x1  4 Si 2.30-2.37
Si (0.9997, 0.5330, 0.0869) x1  4 Si 2.38-2.41
Si (0.0076, 0.2953, 0.3596) x1  4 Si 2.39-2.51
Si (0.0103, 0.6374, 0.8170) x1  4 Si 2.32-2.39
Si (0.0203, 0.9556, 0.8253) x1  4 Si 2.34-2.44
Si (0.0311, 0.2938, 0.6370) x1  4 Si 2.34-2.39
Si (0.0349, 0.0578, 0.4986) x1  4 Si 2.37-2.49
Si (0.0426, 0.4835, 0.5782) x1  4 Si 2.38-2.49
Si (0.0444, 0.2060, 0.1312) x1  4 Si 2.35-2.40
Si (0.0753, 0.1125, 0.3086) x1  4 Si 2.37-2.51
Si (0.0919, 0.1519, 0.9588) x1  4 Si 2.30-2.43
Si (0.0958, 0.8424, 0.0869) x1  4 Si 2.35-2.38
Si (0.1239, 0.6509, 0.3515) x1  4 Si 2.36-2.45
Si (0.1435, 0.8318, 0.2609) x1  4 Si 2.35-2.43
Si (0.1515, 0.6881, 0.5262) x1  5 Si 2.43-2.60
Si (0.1540, 0.1501, 0.5741) x1  4 Si 2.38-2.43
Si (0.1859, 0.4777, 0.0157) x1  4 Si 2.38-2.46
Si (0.1894, 0.3470, 0.3085) x1  4 Si 2.35-2.41
Si (0.1887, 0.8615, 0.5720) x1  5 Si 2.37-2.48
Si (0.1887, 0.9839, 0.7016) x1  4 Si 2.43-2.57
Si (0.1944, 0.3020, 0.1308) x1  4 Si 2.35-2.49
Si (0.1989, 0.5708, 0.8264) x1  4 Si 2.39-2.60
Si (0.2143, 0.5041, 0.6420) x1  5 Si 2.46-2.60
Si (0.2558, 0.5164, 0.2858) x1  4 Si 2.35-2.40
Si (0.2677, 0.0551, 0.9700) x1  4 Si 2.33-2.57
Si (0.2693, 0.0780, 0.3114) x1  4 Si 2.34-2.43
Si (0.2687, 0.8507, 0.9750) x1  4 Si 2.38-2.57
Si (0.2853, 0.2067, 0.4184) x1  4 Si 2.34-2.42
Si (0.3015, 0.7222, 0.8466) x1  4 Si 2.31-2.50
Si (0.3130, 0.5503, 0.0985) x1  4 Si 2.35-2.40
Si (0.3259, 0.1360, 0.1199) x1  5 Si 2.43-2.55
Si (0.3329, 0.9421, 0.4520) x1  4 Si 2.34-2.46
Si (0.3421, 0.8269, 0.2300) x1  4 Si 2.35-2.45
Si (0.3445, 0.6032, 0.4882) x1  5 Si 2.35-2.58
Si (0.3469, 0.7815, 0.6632) x1  4 Si 2.31-2.50
Si (0.3481, 0.3415, 0.6319) x1  4 Si 2.35-2.50
Si (0.3818, 0.7208, 0.0908) x1  4 Si 2.36-2.44
Si (0.3922, 0.9735, 0.6189) x1  5 Si 2.45-2.57
Si (0.4052, 0.7754, 0.3989) x1  4 Si 2.34-2.42
Si (0.4155, 0.1226, 0.8519) x1  4 Si 2.33-2.41
Si (0.4320, 0.1488, 0.6576) x1  5 Si 2.40-2.68
Si (0.4327, 0.2966, 0.8970) x1  4 Si 2.37-2.55
Si (0.4339, 0.5319, 0.3291) x1  4 Si 2.40-2.53
Si (0.4356, 0.3455, 0.2804) x1  5 Si 2.53-2.78
Si (0.4430, 0.6042, 0.6323) x1  4 Si 2.35-2.46
Si (0.4443, 0.4251, 0.7346) x1  4 Si 2.36-2.39
Si (0.4536, 0.9723, 0.1395) x1  4 Si 2.37-2.48
Si (0.4684, 0.3811, 0.4706) x1  5 Si 2.35-2.63
Si (0.4741, 0.1966, 0.4417) x1  4 Si 2.39-2.57
Si (0.4783, 0.4336, 0.0625) x1  4 Si 2.37-2.47
Si (0.4807, 0.2421, 0.0881) x1  4 Si 2.37-2.53
Si (0.4986, 0.6939, 0.8375) x1  4 Si 2.36-2.43
Si (0.5407, 0.9929, 0.9483) x1  4 Si 2.34-2.48
Si (0.5745, 0.0030, 0.2553) x1  4 Si 2.36-2.38
Si (0.5811, 0.6961, 0.0745) x1  4 Si 2.34-2.43
Si (0.5817, 0.5169, 0.8929) x1  4 Si 2.36-2.46
Si (0.5852, 0.1875, 0.2672) x1  4 Si 2.38-2.54
Si (0.5902, 0.8169, 0.9109) x1  4 Si 2.34-2.43
Si (0.5908, 0.9206, 0.5974) x1  4 Si 2.36-2.45
Si (0.5971, 0.7419, 0.3855) x1  4 Si 2.32-2.37
Si (0.6093, 0.7324, 0.6670) x1  4 Si 2.36-2.44
Si (0.6124, 0.3132, 0.7492) x1  4 Si 2.37-2.47
Si (0.6242, 0.1482, 0.6758) x1  3 Si 2.41-2.44
Si (0.6265, 0.6145, 0.5393) x1  4 Si 2.33-2.40
Si (0.6280, 0.2389, 0.9400) x1  5 Si 2.35-2.55
Si (0.6447, 0.3992, 0.1537) x1  4 Si 2.43-2.47
Si (0.6472, 0.9084, 0.4133) x1  4 Si 2.36-2.41
Si (0.6529, 0.4093, 0.4728) x1  4 Si 2.37-2.46
Si (0.6687, 0.6702, 0.2301) x1  4 Si 2.32-2.39
Si (0.6988, 0.5475, 0.0112) x1  4 Si 2.36-2.45
Si (0.7101, 0.0716, 0.8940) x1  4 Si 2.35-2.40
Si (0.7139, 0.4797, 0.2862) x1  4 Si 2.39-2.43
Si (0.7290, 0.2222, 0.5048) x1  5 Si 2.37-2.46
Si (0.7301, 0.4515, 0.7628) x1  5 Si 2.40-2.55
Si (0.7583, 0.9534, 0.1847) x1  4 Si 2.29-2.37
Si (0.7619, 0.1711, 0.3310) x1  4 Si 2.35-2.42
Si (0.7652, 0.2746, 0.0454) x1  5 Si 2.36-2.52
Si (0.7696, 0.8121, 0.8174) x1  4 Si 2.35-2.39
Si (0.7709, 0.6468, 0.7499) x1  4 Si 2.39-2.55
Si (0.7725, 0.9196, 0.6418) x1  4 Si 2.38-2.44
Si (0.7807, 0.4799, 0.5664) x1  4 Si 2.40-2.52
Si (0.8136, 0.7539, 0.5630) x1  4 Si 2.40-2.52
Si (0.8151, 0.0761, 0.0359) x1  4 Si 2.29-2.52
Si (0.8171, 0.9844, 0.3415) x1  4 Si 2.34-2.41
Si (0.8224, 0.7664, 0.2050) x1  4 Si 2.35-2.44
Si (0.8569, 0.3716, 0.8872) x1  4 Si 2.33-2.40
Si (0.8576, 0.0835, 0.5970) x1  4 Si 2.37-2.46
Si (0.8703, 0.2878, 0.1959) x1  4 Si 2.36-2.52
Si (0.8793, 0.0939, 0.7773) x1  4 Si 2.37-2.43
Si (0.8870, 0.7282, 0.3818) x1  4 Si 2.38-2.44
Si (0.8889, 0.3044, 0.5276) x1  4 Si 2.38-2.52
Si (0.8958, 0.5263, 0.9463) x1  4 Si 2.35-2.45
Si (0.9117, 0.4523, 0.2586) x1  5 Si 2.39-2.57
Si (0.9397, 0.7941, 0.8868) x1  4 Si 2.32-2.40
Si (0.9669, 0.5446, 0.4038) x1  4 Si 2.38-2.57
Si (0.9687, 0.7254, 0.0708) x1  4 Si 2.35-2.40
Si (0.9733, 0.6506, 0.6388) x1  4 Si 2.35-2.49
Si (0.9758, 0.2325, 0.8209) x1  4 Si 2.33-2.43
Si (0.9838, 0.8822, 0.3831) x1  4 Si 2.36-2.42
Si (0.9889, 0.8696, 0.5726) x1  3 Si 2.39-2.49

=====

(8)
# CeMgAg2

Crystalline CeMgAg2 at its relaxed geometry (PBE, the Materials Project).

Summary:
Mass density: 6.9 g/cm³
E_tot: -3.476 eV/atom
ΔE_f: -176 meV per atom

Cell: 7.1647 7.1647 7.1647 Å, 90.00 90.00 90.00°
Last column: nearest neighbours and their distance in Å.
Space group Fm-3m (No. 225)
Unique sites:
Ce (0.0000, 0.0000, 0.0000) x4  8 Ag 3.10
Mg (0.0000, 0.0000, 0.5000) x4  8 Ag 3.10
Ag (0.2500, 0.2500, 0.2500) x8  4 Ce 3.10, 4 Mg 3.10

=====

(9)
# CrAuS2

Crystalline CrAuS2 at its relaxed geometry (PBE, the Materials Project).

Summary:
Mass density: 6.6 g/cm³
E_tot: -5.809 eV/atom
ΔE_f: -761 meV per atom

Cell: 3.5551 3.5551 21.4373 Å, 90.00 90.00 120.00°
Last column: nearest neighbours and their distance in Å.
Space group R-3m (No. 166, hexagonal axes)
Unique sites:
Cr (0.0000, 0.0000, 0.0000) x3  6 S 2.40
Au (0.0000, 0.0000, 0.5000) x3  2 S 2.32
S (0.0000, 0.0000, 0.3916) x6  1 Au 2.32, 3 Cr 2.40

=====

(10)
# LiMg2

Crystalline LiMg2 at its relaxed geometry (PBE, the Materials Project).

Summary:
Mass density: 1.4 g/cm³
E_tot: -1.741 eV/atom
ΔE_f: -38 meV per atom

Cell: 3.0955 16.5120 5.1356 Å, 90.00 90.00 90.00°
Last column: nearest neighbours and their distance in Å.
Space group Cmcm (No. 63)
Unique sites:
Li (0.0000, 0.2211, 0.2500) x4  6 Li 3.10-3.15, 6 Mg 3.12-3.14
Mg (0.0000, 0.1134, 0.7500) x4  8 Mg 3.10-3.21, 4 Li 3.12-3.14
Mg (0.0000, 0.4431, 0.7500) x4  10 Mg 3.10-3.21, 2 Li 3.12

=====

(11)
# BrCl

Crystalline BrCl at its relaxed geometry (PBE, the Materials Project).

Summary:
Mass density: 2.5 g/cm³
E_tot: -1.795 eV/atom
M_tot: 0.000 μB per formula unit
Energy above the lowest structure with this stoichiometry: 1 meV/atom
ΔE_f: -359 meV per atom

Cell: 7.8777 4.9275 7.8107 Å, 90.00 90.00 90.00°
Last column: nearest neighbours and their distance in Å.
Space group Cmcm (No. 63)
Unique sites:
Br (0.0000, 0.0000, 0.0000) x4  2 Cl 2.41
Cl (0.0000, 0.2866, 0.2500) x4  2 Br 2.41

=====

(12)
# Pb2O3

Crystalline Pb2O3 at its relaxed geometry (PBE, the Materials Project).

Summary:
Mass density: 9.4 g/cm³
E_tot: -5.435 eV/atom
ΔE_f: -1393 meV per atom

Cell: 7.6995 5.7624 7.9743 Å, 90.00 112.91 90.00°
Last column: nearest neighbours and their distance in Å.
Space group P2_1/c (No. 14)
Unique sites:
Pb (0.0877, 0.2455, 0.1164) x4  6 O 2.15-2.26
Pb (0.3875, 0.7443, 0.8498) x4  3 O 2.31-2.47
O (0.0672, 0.0669, 0.3603) x4  3 Pb 2.25-2.26
O (0.1909, 0.5911, 0.5512) x4  3 Pb 2.22-2.44
O (0.3694, 0.1304, 0.7643) x4  2 Pb 2.15-2.31